56
Lattice="5.3611 0.0000 0.0000 0.0000 10.7490 0.0000 0.0000 0.0000 12.0219" Properties=species:S:1:pos:R:3 comment="LiVP3O9 | the Materials Project database | GGA+U | optimized geometry" total_magnetization_mub_per_atom=0.2143 polymorph_energy_ev_per_fu=0.961 e_form_ev_per_atom=-2.572 total_energy_ev_per_atom=-7.13 pbc="T T T"
V 0.5249 5.0021 1.5714
O 1.9243 9.4812 9.9101
O 1.9616 5.7696 9.9041
O 1.7762 2.0192 10.5535
O 2.7192 5.5023 5.4851
P 3.2214 7.0176 1.6643
O 5.3224 5.2467 11.4960
O 4.7473 2.2945 6.9241
O 4.5576 2.0636 10.7338
Li 3.2681 4.1658 10.9792
O 3.2943 8.4545 0.9131
P 2.0468 4.5847 4.4954
O 0.7189 4.9794 3.8932
O 0.4289 0.9394 8.7459
P 4.7273 0.7898 7.5264
O 2.6419 0.1278 0.5259
P 0.6338 6.1643 10.5064
V 3.2054 0.3724 10.4505
Li 0.5876 1.2087 1.0427
O 4.9749 8.7914 9.0579
O 0.6137 7.6690 11.1087
O 4.6421 10.3539 2.1178
O 3.5849 7.3937 7.4793
O 4.4567 3.3553 1.4684
O 2.2516 9.8096 2.7349
O 0.7562 1.2678 3.8992
P 4.8202 3.7314 7.6753
O 4.9322 6.3139 9.2870
V 4.8362 10.3766 4.4396
O 4.6048 6.6423 2.1118
O 1.8771 3.3109 1.2880
O 2.3965 6.0560 0.8611
V 2.1556 5.7468 7.5823
O 3.1095 4.4351 3.2760
P 3.3143 9.9591 1.5155
Li 4.7735 6.5832 4.9682
P 0.4413 2.0949 9.8762
P 2.2392 8.6541 3.8653
O 3.3995 0.3951 8.1287
O 0.8035 7.4381 7.2990
O 3.0667 1.9576 3.0470
O 0.0387 10.6211 6.5368
O 3.4840 8.6854 4.7229
P 0.5409 9.1059 10.3575
O 2.0668 3.0800 5.0978
O 0.2841 4.6930 6.8721
Li 2.0930 9.5403 7.0536
O 0.9044 8.7298 4.5426
O 0.3862 3.4169 8.9749
O 5.0770 10.0675 11.1607
P 3.1219 3.2796 2.1457
O 3.4368 4.1067 8.1227
O 2.2944 7.3321 2.9640
P 4.9198 7.4694 8.1566
P 2.1396 1.6431 4.3466
O 2.9646 0.6815 5.1498